1.
Crystalline Y4ZrNi25 at its relaxed geometry. Source: the Materials Project database, functional GGA-PBE.

Cell: 21.181 21.181 3.926 Å, 90.00 90.00 166.78°
Fractional positions:
Y 0.100 0.900 0.000
Y 0.300 0.700 0.000
Y 0.700 0.300 0.000
Y 0.900 0.100 0.000
Zr 0.500 0.500 0.000
Ni 0.000 0.000 0.500
Ni 0.000 0.500 0.500
Ni 0.032 0.968 0.000
Ni 0.100 0.400 0.500
Ni 0.167 0.833 0.000
Ni 0.200 0.800 0.500
Ni 0.204 0.302 0.500
Ni 0.233 0.767 0.000
Ni 0.302 0.204 0.500
Ni 0.367 0.633 0.000
Ni 0.400 0.100 0.500
Ni 0.400 0.600 0.500
Ni 0.434 0.566 0.000
Ni 0.500 0.000 0.500
Ni 0.566 0.434 0.000
Ni 0.600 0.400 0.500
Ni 0.600 0.900 0.500
Ni 0.633 0.367 0.000
Ni 0.698 0.796 0.500
Ni 0.767 0.233 0.000
Ni 0.796 0.698 0.500
Ni 0.800 0.200 0.500
Ni 0.833 0.167 0.000
Ni 0.900 0.600 0.500
Ni 0.968 0.032 0.000

Results
The spin magnetization is 0.81 μB/cell. Its space group is Cmmm (65). As for the volume: 402.8 Å³/cell. The calculation puts the formation energy at -307 meV/atom.

---

2.
Crystalline Tb2C at its relaxed geometry. Source: the Materials Project database, functional GGA-PBE.

Cell: 3.610 3.610 18.652 Å, 90.00 90.00 120.00°
Fractional positions:
Tb 0.000 0.000 0.239
Tb 0.000 0.000 0.761
Tb 0.333 0.667 0.427
Tb 0.333 0.667 0.906
Tb 0.667 0.333 0.094
Tb 0.667 0.333 0.573
C 0.000 0.000 0.500
C 0.333 0.667 0.167
C 0.667 0.333 0.833

Results
Its space group is R-3m (166). As for the volume: 210.5 Å³/cell. The calculation puts the formation energy at -254 meV/atom.

---

3.
Crystalline Al2O3 at its relaxed geometry. Source: the Materials Project database, functional GGA-PBE.

Cell: 10.360 10.364 10.481 Å, 93.67 90.02 91.15°
Fractional positions:
Al 0.000 0.000 0.000
Al 0.003 0.214 0.153
Al 0.012 0.606 0.478
Al 0.028 0.713 0.732
Al 0.063 0.319 0.931
Al 0.094 0.748 0.254
Al 0.128 0.512 0.189
Al 0.138 0.933 0.484
Al 0.139 0.419 0.695
Al 0.196 0.762 0.016
Al 0.204 0.013 0.230
Al 0.229 0.887 0.813
Al 0.245 0.225 0.479
Al 0.263 0.141 0.878
Al 0.298 0.501 0.395
Al 0.320 0.671 0.654
Al 0.331 0.264 0.183
Al 0.379 0.878 0.350
Al 0.399 0.036 0.621
Al 0.419 0.362 0.683
Al 0.502 0.321 0.428
Al 0.506 0.766 0.857
Al 0.525 0.655 0.441
Al 0.526 0.234 0.998
Al 0.533 0.959 0.101
Al 0.541 0.490 0.186
Al 0.580 0.491 0.917
Al 0.621 0.869 0.629
Al 0.648 0.042 0.400
Al 0.724 0.308 0.665
Al 0.729 0.653 0.710
Al 0.744 0.114 0.919
Al 0.761 0.813 0.946
Al 0.781 0.379 0.115
Al 0.809 0.237 0.381
Al 0.813 0.936 0.221
Al 0.822 0.659 0.238
Al 0.835 0.773 0.485
Al 0.861 0.505 0.850
Al 0.885 0.065 0.559
O 0.014 0.440 0.831
O 0.025 0.786 0.432
O 0.032 0.004 0.600
O 0.054 0.385 0.092
O 0.071 0.566 0.633
O 0.086 0.768 0.886
O 0.115 0.892 0.114
O 0.122 0.313 0.559
O 0.136 0.557 0.368
O 0.143 0.016 0.901
O 0.161 0.081 0.394
O 0.170 0.172 0.174
O 0.187 0.784 0.674
O 0.194 0.284 0.828
O 0.208 0.656 0.137
O 0.213 0.854 0.320
O 0.277 0.426 0.232
O 0.306 0.505 0.721
O 0.317 0.935 0.509
O 0.332 0.793 0.916
O 0.343 0.019 0.778
O 0.352 0.389 0.502
O 0.353 0.193 0.015
O 0.357 0.198 0.618
O 0.359 0.641 0.491
O 0.375 0.215 0.344
O 0.384 0.970 0.200
O 0.450 0.793 0.693
O 0.499 0.559 0.048
O 0.504 0.323 0.152
O 0.507 0.340 0.853
O 0.509 0.779 0.341
O 0.512 0.497 0.356
O 0.553 0.005 0.544
O 0.571 0.065 0.971
O 0.571 0.347 0.594
O 0.576 0.608 0.804
O 0.585 0.821 0.004
O 0.637 0.219 0.382
O 0.645 0.991 0.231
O 0.652 0.703 0.552
O 0.674 0.826 0.782
O 0.711 0.239 0.040
O 0.716 0.517 0.201
O 0.742 0.183 0.770
O 0.753 0.458 0.965
O 0.773 0.929 0.563
O 0.776 0.474 0.704
O 0.789 0.810 0.330
O 0.820 0.795 0.105
O 0.829 0.064 0.382
O 0.840 0.240 0.550
O 0.841 0.970 0.928
O 0.843 0.674 0.858
O 0.856 0.600 0.411
O 0.877 0.304 0.244
O 0.888 0.722 0.636
O 0.935 0.047 0.162
O 0.972 0.184 0.979
O 0.983 0.625 0.191

Results
The spin magnetization is 0.00 μB/cell. Its space group is P1 (1). As for the volume: 1122.8 Å³/cell. The calculation puts the formation energy at -3161 meV/atom.

---

Copy entry 1 word for word.
Crystalline Y4ZrNi25 at its relaxed geometry. Source: the Materials Project database, functional GGA-PBE.

Cell: 21.181 21.181 3.926 Å, 90.00 90.00 166.78°
Fractional positions:
Y 0.100 0.900 0.000
Y 0.300 0.700 0.000
Y 0.700 0.300 0.000
Y 0.900 0.100 0.000
Zr 0.500 0.500 0.000
Ni 0.000 0.000 0.500
Ni 0.000 0.500 0.500
Ni 0.032 0.968 0.000
Ni 0.100 0.400 0.500
Ni 0.167 0.833 0.000
Ni 0.200 0.800 0.500
Ni 0.204 0.302 0.500
Ni 0.233 0.767 0.000
Ni 0.302 0.204 0.500
Ni 0.367 0.633 0.000
Ni 0.400 0.100 0.500
Ni 0.400 0.600 0.500
Ni 0.434 0.566 0.000
Ni 0.500 0.000 0.500
Ni 0.566 0.434 0.000
Ni 0.600 0.400 0.500
Ni 0.600 0.900 0.500
Ni 0.633 0.367 0.000
Ni 0.698 0.796 0.500
Ni 0.767 0.233 0.000
Ni 0.796 0.698 0.500
Ni 0.800 0.200 0.500
Ni 0.833 0.167 0.000
Ni 0.900 0.600 0.500
Ni 0.968 0.032 0.000

Results
The spin magnetization is 0.81 μB/cell. Its space group is Cmmm (65). As for the volume: 402.8 Å³/cell. The calculation puts the formation energy at -307 meV/atom.

---

What is the formula in the third record? Al2O3

---

The highest formation energy belongs to which entry? Tb2C